First-principles (PBE with a Hubbard U) data for a relaxed structure of K4Li3Mn2O8, as listed in Materials Project.

Unit cell a=8.451 b=5.649 c=11.458 alpha=72.61 beta=90.00 gamma=90.00
Fractional coordinates of all 34 atoms:
Li 0.701 0.897 0.201
K 0.540 0.263 0.614
O 0.926 0.812 0.133
O 0.547 0.198 0.865
Li 0.765 0.623 0.068
O 0.060 0.227 0.414
Mn 0.464 0.867 0.428
O 0.140 0.214 0.105
Li 0.280 0.341 0.423
K 0.249 0.690 0.164
Li 0.299 0.897 0.701
Li 0.235 0.623 0.568
O 0.563 0.767 0.097
O 0.702 0.692 0.898
K 0.751 0.690 0.664
K 0.747 0.327 0.345
O 0.335 0.820 0.878
O 0.940 0.227 0.914
Mn 0.536 0.867 0.928
K 0.460 0.263 0.114
Mn 0.041 0.131 0.570
O 0.298 0.692 0.398
O 0.860 0.214 0.605
K 0.253 0.327 0.845
O 0.074 0.812 0.633
Li 0.720 0.341 0.923
O 0.790 0.254 0.121
O 0.453 0.198 0.365
Mn 0.959 0.131 0.070
K 0.010 0.783 0.880
O 0.210 0.254 0.621
O 0.665 0.820 0.378
O 0.437 0.767 0.597
K 0.990 0.783 0.380

The value obtained for the formation energy is -31.51 eV/f.u. As for the space-group type: Pc. The calculation puts the total magnetic moment at 10.00 μB/cell. Its total energy is -0.39237 Ry/atom.